#P
A relaxed structure of Na2FePCO7, computed with PBE+U.

The calculation puts the total magnetization at 5.00 μB/f.u.

Cell lengths 8.385, 8.385, 10.347 Å; angles 71.71, 71.71, 102.21 degrees
Positions (direct):
Na 0.523 0.251 0.730
O 0.407 0.407 0.569
Na 0.742 0.993 0.258
P 0.444 0.944 0.576
O 0.842 0.325 0.128
C 0.473 0.982 0.065
O 0.338 0.027 0.673
O 0.977 0.165 0.324
P 0.560 0.560 0.425
O 0.322 0.827 0.529
O 0.827 0.322 0.529
Fe 0.311 0.812 0.346
Fe 0.180 0.180 0.651
O 0.903 0.903 0.568
Na 0.788 0.308 0.920
Fe 0.812 0.311 0.346
O 0.976 0.976 0.843
O 0.661 0.661 0.872
P 0.054 0.054 0.425
O 0.027 0.338 0.673
C 0.982 0.473 0.065
Na 0.251 0.523 0.730
O 0.023 0.531 0.159
P 0.944 0.444 0.576
C 0.026 0.026 0.935
O 0.682 0.682 0.470
O 0.174 0.174 0.470
O 0.680 0.490 0.325
O 0.531 0.023 0.159
O 0.325 0.842 0.128
O 0.091 0.602 0.433
O 0.467 0.467 0.841
Na 0.993 0.742 0.258
O 0.817 0.505 0.679
O 0.070 0.553 0.925
O 0.505 0.817 0.679
O 0.165 0.977 0.324
Na 0.308 0.788 0.920
O 0.490 0.680 0.325
O 0.435 0.435 0.075
Na 0.210 0.210 0.088
C 0.517 0.517 0.936
Na 0.683 0.683 0.083
O 0.170 0.170 0.873
O 0.553 0.070 0.925
O 0.602 0.091 0.433
O 0.941 0.941 0.077
Fe 0.695 0.695 0.659

=====

#Q
A relaxed structure of Na2FePCO7, computed with PBE+U.

The calculation puts the total magnetization at 0.00 μB/f.u.

Cell lengths 8.398, 8.465, 8.910 Å; angles 93.24, 91.49, 77.96 degrees
Positions (direct):
O 0.365 0.892 0.834
O 0.831 0.393 0.474
O 0.062 0.180 0.569
C 0.264 0.978 0.933
O 0.662 0.602 0.879
O 0.162 0.102 0.879
O 0.923 0.133 0.317
O 0.577 0.367 0.683
Na 0.973 0.743 0.916
O 0.600 0.832 0.334
O 0.077 0.867 0.683
P 0.482 0.760 0.427
Na 0.130 0.879 0.264
Na 0.870 0.121 0.736
O 0.938 0.820 0.431
O 0.635 0.108 0.166
O 0.338 0.398 0.121
Na 0.630 0.379 0.264
C 0.736 0.022 0.067
Fe 0.757 0.977 0.345
O 0.423 0.633 0.317
P 0.018 0.740 0.573
O 0.865 0.392 0.834
Fe 0.257 0.477 0.345
O 0.268 0.945 0.070
Na 0.473 0.243 0.916
Fe 0.743 0.523 0.655
O 0.100 0.332 0.334
O 0.135 0.608 0.166
C 0.764 0.478 0.933
O 0.838 0.898 0.121
O 0.562 0.680 0.569
Na 0.027 0.257 0.084
O 0.438 0.320 0.431
Na 0.527 0.757 0.084
C 0.236 0.522 0.067
O 0.232 0.555 0.930
P 0.518 0.240 0.573
O 0.669 0.107 0.526
O 0.900 0.668 0.666
Fe 0.243 0.023 0.655
O 0.169 0.607 0.526
O 0.768 0.445 0.070
O 0.732 0.055 0.930
O 0.400 0.168 0.666
P 0.982 0.260 0.427
Na 0.370 0.621 0.736
O 0.331 0.893 0.474

=====

Tell me which of them is the least stable. Sure, it is #P.

=====

#P
A relaxed structure of Na3FePCO7, computed with PBE+U.

The calculation puts the total magnetization at 4.00 μB/f.u.

Cell lengths 5.301, 11.236, 11.238 Å; angles 106.45, 90.02, 89.98 degrees
Positions (direct):
C 0.500 0.696 0.542
O 0.438 0.226 0.518
Fe 0.030 0.220 0.518
Na 0.002 0.741 0.743
Fe 0.971 0.268 0.970
Na 0.493 0.497 0.992
O 0.676 0.645 0.592
O 0.736 0.810 0.924
Na 0.557 0.945 0.780
Na 0.998 0.493 0.491
Na 0.492 0.997 0.492
O 0.264 0.174 0.060
P 0.015 0.540 0.197
O 0.070 0.401 0.652
O 0.876 0.115 0.617
O 0.124 0.367 0.865
O 0.082 0.583 0.839
O 0.083 0.083 0.339
C 0.500 0.292 0.446
O 0.917 0.589 0.333
Na 0.508 0.242 0.747
O 0.263 0.674 0.560
O 0.931 0.402 0.151
Na 0.443 0.030 0.195
O 0.303 0.553 0.188
O 0.698 0.938 0.303
C 0.501 0.196 0.042
Na 0.003 0.241 0.243
O 0.876 0.615 0.117
Na 0.442 0.530 0.695
O 0.123 0.867 0.365
O 0.438 0.726 0.018
Na 0.998 0.993 0.991
O 0.562 0.268 0.976
O 0.737 0.310 0.424
P 0.985 0.947 0.291
O 0.677 0.145 0.092
Na 0.507 0.743 0.247
Fe 0.970 0.768 0.470
O 0.070 0.901 0.152
O 0.697 0.438 0.803
Fe 0.029 0.720 0.018
O 0.918 0.089 0.834
O 0.323 0.842 0.895
O 0.930 0.902 0.651
C 0.499 0.792 0.946
P 0.015 0.041 0.697
O 0.302 0.053 0.688
O 0.324 0.342 0.395
P 0.985 0.447 0.790
O 0.561 0.768 0.476
Na 0.558 0.445 0.279

=====

#Q
A relaxed structure of Na3FePCO7, computed with PBE+U.

The calculation puts the total magnetization at 4.00 μB/f.u.

Cell lengths 6.681, 5.218, 9.087 Å; angles 89.39, 90.00, 90.00 degrees
Positions (direct):
O 0.750 0.169 0.432
O 0.750 0.523 0.146
O 0.564 0.218 0.678
O 0.750 0.595 0.562
C 0.250 0.272 0.938
P 0.250 0.702 0.416
P 0.750 0.298 0.584
O 0.250 0.290 0.080
O 0.250 0.477 0.854
O 0.936 0.218 0.678
Na 0.004 0.251 0.262
O 0.750 0.710 0.920
O 0.250 0.831 0.568
C 0.750 0.728 0.062
O 0.750 0.953 0.124
Na 0.504 0.749 0.738
Na 0.250 0.766 0.083
Na 0.996 0.749 0.738
O 0.436 0.782 0.322
Fe 0.750 0.782 0.354
Na 0.750 0.234 0.917
Na 0.496 0.251 0.262
O 0.250 0.047 0.876
O 0.250 0.405 0.438
O 0.064 0.782 0.322
Fe 0.250 0.218 0.646

=====

Tell me which of them is the least stable. Sure, it is #P.

=====

#P
A relaxed structure of FeC5O5, computed with PBE+U.

The calculation puts the total magnetization at 0.00 μB/f.u.

Cell lengths 6.857, 6.857, 9.416 Å; angles 74.48, 74.48, 59.91 degrees
Positions (direct):
O 0.256 0.473 0.516
C 0.905 0.095 0.250
C 0.965 0.293 0.817
O 0.527 0.744 0.984
O 0.629 0.950 0.641
C 0.095 0.905 0.750
O 0.473 0.256 0.016
C 0.707 0.035 0.683
Fe 0.833 0.167 0.750
O 0.050 0.371 0.859
C 0.385 0.780 0.088
C 0.220 0.615 0.412
C 0.780 0.385 0.588
O 0.371 0.050 0.359
Fe 0.167 0.833 0.250
O 0.735 0.265 0.250
O 0.950 0.629 0.141
C 0.035 0.707 0.183
O 0.744 0.527 0.484
C 0.615 0.220 0.912
O 0.265 0.735 0.750
C 0.293 0.965 0.317

=====

#Q
A relaxed structure of FeC5O5, computed with PBE+U.

The calculation puts the total magnetization at 2.00 μB/f.u.

Cell lengths 7.394, 7.394, 9.980 Å; angles 72.87, 72.87, 59.46 degrees
Positions (direct):
C 0.412 0.747 0.345
C 0.893 0.114 0.487
C 0.691 0.042 0.928
Fe 0.833 0.167 0.998
O 0.494 0.215 0.274
C 0.114 0.893 0.987
O 0.272 0.738 0.983
C 0.747 0.412 0.845
C 0.210 0.615 0.668
O 0.348 0.072 0.608
Fe 0.167 0.833 0.498
O 0.976 0.607 0.389
O 0.738 0.272 0.483
O 0.072 0.348 0.108
C 0.042 0.691 0.428
C 0.615 0.210 0.168
C 0.982 0.288 0.070
O 0.215 0.494 0.774
O 0.541 0.712 0.243
O 0.607 0.976 0.889
C 0.288 0.982 0.570
O 0.712 0.541 0.743

=====

Tell me which of them is the least stable. Sure, it is #Q.

=====

#P
A relaxed structure of MnH4C2O6, computed with PBE+U.

The calculation puts the total magnetization at 5.00 μB/f.u.

Cell lengths 6.232, 6.232, 9.307 Å; angles 63.00, 63.00, 54.75 degrees
Positions (direct):
H 0.947 0.694 0.637
H 0.662 0.801 0.332
Mn 0.189 0.811 0.750
H 0.338 0.199 0.668
C 0.363 0.736 0.153
O 0.378 0.022 0.751
O 0.598 0.579 0.082
H 0.199 0.338 0.168
O 0.421 0.402 0.418
O 0.622 0.978 0.249
H 0.053 0.306 0.363
C 0.637 0.264 0.847
H 0.694 0.947 0.137
C 0.264 0.637 0.347
O 0.022 0.378 0.251
O 0.969 0.201 0.581
C 0.736 0.363 0.653
Mn 0.811 0.189 0.250
O 0.402 0.421 0.918
H 0.306 0.053 0.863
O 0.201 0.969 0.081
O 0.031 0.799 0.419
O 0.799 0.031 0.919
H 0.801 0.662 0.832
O 0.579 0.598 0.582
O 0.978 0.622 0.749

=====

#Q
A relaxed structure of MnH4C2O6, computed with PBE+U.

The calculation puts the total magnetization at 5.01 μB/f.u.

Cell lengths 6.877, 6.877, 10.056 Å; angles 54.52, 125.46, 130.52 degrees
Positions (direct):
H 0.644 0.173 0.647
H 0.303 0.980 0.148
O 0.608 0.434 0.925
O 0.392 0.566 0.075
C 0.625 0.725 0.149
O 0.641 0.003 0.742
O 0.359 0.997 0.258
O 0.434 0.608 0.574
H 0.173 0.644 0.853
O 0.566 0.392 0.426
O 0.043 0.216 0.574
H 0.019 0.697 0.648
C 0.375 0.275 0.851
O 0.784 0.958 0.074
O 0.957 0.785 0.426
C 0.275 0.375 0.649
Mn 0.176 0.176 0.250
C 0.725 0.625 0.351
O 0.216 0.042 0.926
O 0.997 0.360 0.242
H 0.356 0.827 0.353
O 0.003 0.640 0.758
H 0.827 0.356 0.147
H 0.697 0.020 0.852
Mn 0.824 0.823 0.750
H 0.980 0.303 0.352

=====

Tell me which of them is the least stable. Sure, it is #P.